Density functional theory data (r²SCAN) for a relaxed structure of YbHoRh2.

Structure (CIF):
```
data_YbHoRh2
_symmetry_space_group_name_H-M 'P 1'
_symmetry_Int_Tables_number 1
_cell_length_a 4.756
_cell_length_b 4.756
_cell_length_c 4.756
_cell_angle_alpha 60.00
_cell_angle_beta 60.00
_cell_angle_gamma 60.00
loop_
_symmetry_equiv_pos_as_xyz
'x,y,z'
loop_
_atom_site_label
_atom_site_fract_x
_atom_site_fract_y
_atom_site_fract_z
Yb1 0.500 0.500 0.500
Ho1 0.000 0.000 0.000
Rh1 0.750 0.750 0.750
Rh2 0.250 0.250 0.250
```

Output
The calculation puts the formation enthalpy at 0 K at -1.023 eV/atom. Its crystal system is cubic.


Density functional theory data (r²SCAN) for a relaxed structure of HoSi2Ru2.

Structure (CIF):
```
data_HoSi2Ru2
_symmetry_space_group_name_H-M 'P 1'
_symmetry_Int_Tables_number 1
_cell_length_a 4.158
_cell_length_b 4.158
_cell_length_c 5.583
_cell_angle_alpha 111.86
_cell_angle_beta 111.86
_cell_angle_gamma 90.00
loop_
_symmetry_equiv_pos_as_xyz
'x,y,z'
loop_
_atom_site_label
_atom_site_fract_x
_atom_site_fract_y
_atom_site_fract_z
Ho1 0.000 0.000 0.000
Si1 0.632 0.632 0.264
Si2 0.368 0.368 0.736
Ru1 0.750 0.250 0.500
Ru2 0.250 0.750 0.500
```

Output
The calculation puts the formation enthalpy at 0 K at -0.970 eV/atom. Its crystal system is tetragonal.


Density functional theory data (r²SCAN) for a relaxed structure of HoSiRu.

Structure (CIF):
```
data_HoSiRu
_symmetry_space_group_name_H-M 'P 1'
_symmetry_Int_Tables_number 1
_cell_length_a 4.315
_cell_length_b 6.956
_cell_length_c 7.029
_cell_angle_alpha 90.00
_cell_angle_beta 90.00
_cell_angle_gamma 90.00
loop_
_symmetry_equiv_pos_as_xyz
'x,y,z'
loop_
_atom_site_label
_atom_site_fract_x
_atom_site_fract_y
_atom_site_fract_z
Ho1 0.250 0.985 0.187
Ho2 0.750 0.015 0.813
Ho3 0.250 0.485 0.313
Ho4 0.750 0.515 0.687
Si1 0.250 0.305 0.893
Si2 0.750 0.695 0.107
Si3 0.250 0.805 0.607
Si4 0.750 0.195 0.393
Ru1 0.750 0.848 0.433
Ru2 0.250 0.152 0.567
Ru3 0.750 0.348 0.067
Ru4 0.250 0.652 0.933
```

Output
The calculation puts the formation enthalpy at 0 K at -0.898 eV/atom. Its crystal system is orthorhombic.


Density functional theory data (r²SCAN) for a relaxed structure of HoTmRu2.

Structure (CIF):
```
data_HoTmRu2
_symmetry_space_group_name_H-M 'P 1'
_symmetry_Int_Tables_number 1
_cell_length_a 4.735
_cell_length_b 4.735
_cell_length_c 4.735
_cell_angle_alpha 60.00
_cell_angle_beta 60.00
_cell_angle_gamma 60.00
loop_
_symmetry_equiv_pos_as_xyz
'x,y,z'
loop_
_atom_site_label
_atom_site_fract_x
_atom_site_fract_y
_atom_site_fract_z
Ho1 0.500 0.500 0.500
Tm1 0.000 0.000 0.000
Ru1 0.250 0.250 0.250
Ru2 0.750 0.750 0.750
```

Output
The calculation puts the formation enthalpy at 0 K at -0.438 eV/atom. Its crystal system is cubic.


We obtain spin magnetization values of 0.00, 0.00, 0.00, 0.00 μB/f.u. for the records listed above, in that order.